[1]
Material: LiFe2B2O6
Method: DFT, GGA+U
State: optimized geometry

**Corrected total energy (MP2020 scheme)**: -7.892 eV/atom
**Energy relative to the lowest polymorph listed for this composition**: 0.0141 eV/atom
**SG**: P1
**Magnetic moment**: 36.0 Bohr magnetons per cell
**Formation energy from the elements**: -2.265 eV/atom

Unit cell a=5.281 b=9.110 c=10.113 alpha=89.38 beta=89.17 gamma=89.02
Fractional positions:
Li (0.000, 0.000, 0.000)
Li (0.139, 0.168, 0.260)
Li (0.499, 0.495, 0.008)
Li (0.649, 0.657, 0.735)
Fe (0.004, 0.330, 0.969)
Fe (0.143, 0.497, 0.230)
Fe (0.143, 0.837, 0.728)
Fe (0.485, 0.166, 0.486)
Fe (0.495, 0.829, 0.979)
Fe (0.631, 0.330, 0.728)
Fe (0.641, 0.990, 0.228)
Fe (0.987, 0.671, 0.478)
B (0.146, 0.506, 0.730)
B (0.148, 0.838, 0.231)
B (0.481, 0.832, 0.484)
B (0.492, 0.164, 0.984)
B (0.641, 0.992, 0.723)
B (0.651, 0.323, 0.222)
B (0.979, 0.332, 0.475)
B (0.985, 0.664, 0.970)
O (0.000, 0.389, 0.766)
O (0.004, 0.965, 0.212)
O (0.013, 0.638, 0.688)
O (0.045, 0.713, 0.286)
O (0.068, 0.471, 0.442)
O (0.112, 0.795, 0.933)
O (0.124, 0.545, 0.016)
O (0.137, 0.211, 0.459)
O (0.226, 0.829, 0.527)
O (0.234, 0.155, 0.988)
O (0.401, 0.839, 0.189)
O (0.404, 0.508, 0.735)
O (0.500, 0.869, 0.765)
O (0.501, 0.442, 0.199)
O (0.512, 0.116, 0.678)
O (0.538, 0.191, 0.274)
O (0.566, 0.963, 0.425)
O (0.617, 0.288, 0.941)
O (0.637, 0.039, 0.026)
O (0.639, 0.716, 0.504)
O (0.726, 0.658, 0.955)
O (0.729, 0.317, 0.515)
O (0.898, 0.986, 0.731)
O (0.908, 0.318, 0.194)

---

[2]
Material: LiFe2B2O6
Method: DFT, GGA+U
State: optimized geometry

**Corrected total energy (MP2020 scheme)**: -7.895 eV/atom
**Energy relative to the lowest polymorph listed for this composition**: 0.0117 eV/atom
**SG**: P1
**Magnetic moment**: 36.0 Bohr magnetons per cell
**Formation energy from the elements**: -2.268 eV/atom

Unit cell a=5.286 b=9.089 c=10.073 alpha=89.26 beta=89.01 gamma=89.73
Fractional positions:
Li (0.000, 0.000, 0.000)
Li (0.010, 0.974, 0.506)
Li (0.493, 0.498, 0.986)
Li (0.805, 0.479, 0.251)
Fe (0.312, 0.314, 0.220)
Fe (0.324, 0.655, 0.711)
Fe (0.492, 0.833, 0.967)
Fe (0.497, 0.153, 0.471)
Fe (0.812, 0.156, 0.718)
Fe (0.812, 0.822, 0.221)
Fe (0.993, 0.335, 0.959)
Fe (0.994, 0.635, 0.476)
B (0.318, 0.650, 0.215)
B (0.320, 0.322, 0.718)
B (0.488, 0.158, 0.968)
B (0.492, 0.823, 0.468)
B (0.817, 0.159, 0.212)
B (0.819, 0.816, 0.716)
B (0.985, 0.314, 0.461)
B (0.991, 0.660, 0.973)
O (0.063, 0.660, 0.253)
O (0.068, 0.300, 0.756)
O (0.233, 0.306, 0.413)
O (0.243, 0.658, 0.929)
O (0.349, 0.033, 0.968)
O (0.363, 0.952, 0.469)
O (0.376, 0.693, 0.512)
O (0.380, 0.291, 0.013)
O (0.424, 0.457, 0.725)
O (0.434, 0.514, 0.202)
O (0.460, 0.775, 0.186)
O (0.464, 0.201, 0.680)
O (0.575, 0.177, 0.261)
O (0.575, 0.795, 0.764)
O (0.744, 0.157, 0.924)
O (0.750, 0.818, 0.422)
O (0.848, 0.439, 0.446)
O (0.851, 0.534, 0.980)
O (0.881, 0.794, 0.015)
O (0.882, 0.183, 0.515)
O (0.913, 0.955, 0.700)
O (0.919, 0.022, 0.195)
O (0.954, 0.286, 0.178)
O (0.967, 0.695, 0.682)

---

[3]
Material: Li9Fe4B8O24
Method: DFT, GGA+U
State: optimized geometry

**Corrected total energy (MP2020 scheme)**: -7.287 eV/atom
**Energy relative to the lowest polymorph listed for this composition**: 0.0174 eV/atom
**SG**: P1
**Magnetic moment**: 17.0 Bohr magnetons per cell
**Formation energy from the elements**: -2.326 eV/atom

Unit cell a=8.306 b=8.355 c=8.837 alpha=68.25 beta=68.19 gamma=74.48
Fractional positions:
Li (0.000, 0.000, 0.000)
Li (0.003, 0.351, 0.836)
Li (0.157, 0.655, 0.544)
Li (0.201, 0.694, 0.180)
Li (0.357, 0.184, 0.313)
Li (0.506, 0.851, 0.838)
Li (0.517, 0.491, 0.997)
Li (0.653, 0.159, 0.522)
Li (0.851, 0.687, 0.320)
Fe (0.011, 0.327, 0.198)
Fe (0.500, 0.512, 0.643)
Fe (0.515, 0.830, 0.195)
Fe (0.998, 0.010, 0.643)
B (0.062, 0.377, 0.478)
B (0.223, 0.722, 0.833)
B (0.286, 0.121, 0.019)
B (0.453, 0.473, 0.350)
B (0.552, 0.874, 0.485)
B (0.723, 0.221, 0.818)
B (0.790, 0.622, 0.021)
B (0.967, 0.962, 0.350)
O (0.015, 0.468, 0.327)
O (0.019, 0.883, 0.498)
O (0.049, 0.459, 0.587)
O (0.082, 0.859, 0.827)
O (0.127, 0.199, 0.505)
O (0.183, 0.162, 0.918)
O (0.246, 0.213, 0.134)
O (0.271, 0.631, 0.714)
O (0.312, 0.684, 0.947)
O (0.369, 0.649, 0.320)
O (0.424, 0.982, 0.017)
O (0.465, 0.384, 0.246)
O (0.494, 0.955, 0.342)
O (0.518, 0.395, 0.489)
O (0.538, 0.959, 0.593)
O (0.581, 0.355, 0.825)
O (0.632, 0.699, 0.510)
O (0.684, 0.662, 0.923)
O (0.751, 0.714, 0.138)
O (0.762, 0.128, 0.703)
O (0.828, 0.188, 0.915)
O (0.885, 0.137, 0.324)
O (0.929, 0.486, 0.015)
O (0.995, 0.871, 0.241)

---

[4]
Material: LiFe2B2O6
Method: DFT, GGA+U
State: optimized geometry

**Corrected total energy (MP2020 scheme)**: -7.904 eV/atom
**Energy relative to the lowest polymorph listed for this composition**: 0.0020 eV/atom
**SG**: P1
**Magnetic moment**: 36.0 Bohr magnetons per cell
**Formation energy from the elements**: -2.277 eV/atom

Unit cell a=5.271 b=9.125 c=10.181 alpha=89.57 beta=89.22 gamma=89.73
Fractional positions:
Li (0.000, 0.000, 0.000)
Li (0.006, 0.976, 0.498)
Li (0.194, 0.493, 0.793)
Li (0.511, 0.476, 0.510)
Fe (0.011, 0.335, 0.039)
Fe (0.012, 0.644, 0.538)
Fe (0.197, 0.829, 0.782)
Fe (0.202, 0.159, 0.284)
Fe (0.511, 0.811, 0.033)
Fe (0.515, 0.141, 0.536)
Fe (0.690, 0.314, 0.788)
Fe (0.697, 0.657, 0.289)
B (0.019, 0.316, 0.539)
B (0.020, 0.664, 0.033)
B (0.189, 0.164, 0.790)
B (0.191, 0.819, 0.289)
B (0.511, 0.819, 0.533)
B (0.513, 0.142, 0.033)
B (0.696, 0.643, 0.791)
B (0.698, 0.321, 0.292)
O (0.043, 0.702, 0.332)
O (0.056, 0.294, 0.820)
O (0.082, 0.032, 0.814)
O (0.107, 0.959, 0.308)
O (0.125, 0.534, 0.002)
O (0.127, 0.187, 0.489)
O (0.142, 0.798, 0.004)
O (0.159, 0.442, 0.550)
O (0.256, 0.822, 0.572)
O (0.263, 0.155, 0.081)
O (0.428, 0.791, 0.232)
O (0.432, 0.178, 0.738)
O (0.549, 0.200, 0.325)
O (0.562, 0.762, 0.842)
O (0.567, 0.511, 0.779)
O (0.607, 0.458, 0.316)
O (0.618, 0.684, 0.491)
O (0.633, 0.008, 0.033)
O (0.643, 0.264, 0.984)
O (0.657, 0.941, 0.534)
O (0.765, 0.314, 0.581)
O (0.778, 0.675, 0.092)
O (0.940, 0.300, 0.240)
O (0.946, 0.655, 0.749)

---

[5]
Material: LiFe2B2O6
Method: DFT, GGA+U
State: optimized geometry

**Corrected total energy (MP2020 scheme)**: -7.880 eV/atom
**Energy relative to the lowest polymorph listed for this composition**: 0.0266 eV/atom
**SG**: P1
**Magnetic moment**: 18.0 Bohr magnetons per cell
**Formation energy from the elements**: -2.253 eV/atom

Unit cell a=5.217 b=5.235 c=10.298 alpha=90.34 beta=91.46 gamma=119.18
Fractional positions:
Li (0.000, 0.000, 0.000)
Li (0.321, 0.298, 0.735)
Fe (0.333, 0.647, 0.976)
Fe (0.653, 0.312, 0.450)
Fe (0.653, 0.975, 0.712)
Fe (0.973, 0.654, 0.220)
B (0.316, 0.649, 0.474)
B (0.652, 0.984, 0.209)
B (0.662, 0.316, 0.948)
B (0.992, 0.645, 0.712)
O (0.052, 0.633, 0.438)
O (0.255, 0.644, 0.739)
O (0.360, 0.414, 0.475)
O (0.385, 0.748, 0.172)
O (0.391, 0.302, 0.934)
O (0.549, 0.926, 0.518)
O (0.655, 0.232, 0.266)
O (0.683, 0.063, 0.909)
O (0.738, 0.380, 0.680)
O (0.907, 0.564, 0.993)
O (0.911, 0.990, 0.186)
O (0.978, 0.900, 0.718)

---

[6]
Material: LiFe2B2O6
Method: DFT, GGA+U
State: optimized geometry

**Corrected total energy (MP2020 scheme)**: -7.905 eV/atom
**Energy relative to the lowest polymorph listed for this composition**: 0.0011 eV/atom
**SG**: P1
**Magnetic moment**: 18.0 Bohr magnetons per cell
**Formation energy from the elements**: -2.278 eV/atom

Unit cell a=5.245 b=5.280 c=10.136 alpha=91.37 beta=90.04 gamma=119.58
Fractional positions:
Li (0.000, 0.000, 0.000)
Li (0.333, 0.312, 0.278)
Fe (0.337, 0.663, 0.524)
Fe (0.662, 0.330, 0.030)
Fe (0.672, 0.979, 0.277)
Fe (0.992, 0.631, 0.778)
B (0.002, 0.649, 0.277)
B (0.337, 0.657, 0.027)
B (0.660, 0.977, 0.780)
B (0.667, 0.318, 0.524)
O (0.022, 0.916, 0.266)
O (0.094, 0.675, 0.977)
O (0.244, 0.628, 0.324)
O (0.314, 0.389, 0.044)
O (0.396, 0.759, 0.723)
O (0.441, 0.371, 0.502)
O (0.594, 0.911, 0.062)
O (0.647, 0.054, 0.489)
O (0.683, 0.242, 0.817)
O (0.746, 0.392, 0.241)
O (0.886, 0.925, 0.803)
O (0.933, 0.537, 0.580)

---

[7]
Material: LiFe2B2O6
Method: DFT, GGA+U
State: optimized geometry

**Corrected total energy (MP2020 scheme)**: -7.895 eV/atom
**Energy relative to the lowest polymorph listed for this composition**: 0.0111 eV/atom
**SG**: P1
**Magnetic moment**: 36.0 Bohr magnetons per cell
**Formation energy from the elements**: -2.268 eV/atom

Unit cell a=5.247 b=9.113 c=11.335 alpha=67.18 beta=76.91 gamma=89.36
Fractional positions:
Li (0.000, 0.000, 0.000)
Li (0.011, 0.027, 0.261)
Li (0.310, 0.291, 0.729)
Li (0.497, 0.503, 0.995)
Fe (0.020, 0.339, 0.977)
Fe (0.033, 0.703, 0.229)
Fe (0.272, 0.931, 0.475)
Fe (0.294, 0.634, 0.724)
Fe (0.514, 0.845, 0.975)
Fe (0.531, 0.227, 0.228)
Fe (0.767, 0.425, 0.470)
Fe (0.817, 0.119, 0.722)
B (0.011, 0.681, 0.969)
B (0.048, 0.379, 0.221)
B (0.253, 0.587, 0.482)
B (0.316, 0.965, 0.729)
B (0.518, 0.175, 0.969)
B (0.547, 0.892, 0.217)
B (0.764, 0.097, 0.470)
B (0.793, 0.460, 0.726)
O (0.026, 0.598, 0.437)
O (0.044, 0.452, 0.755)
O (0.131, 0.784, 0.009)
O (0.164, 0.576, 0.926)
O (0.182, 0.092, 0.731)
O (0.237, 0.861, 0.676)
O (0.262, 0.175, 0.957)
O (0.314, 0.406, 0.191)
O (0.319, 0.704, 0.526)
O (0.388, 0.984, 0.273)
O (0.411, 0.467, 0.488)
O (0.423, 0.802, 0.167)
O (0.524, 0.103, 0.437)
O (0.536, 0.933, 0.781)
O (0.623, 0.284, 0.007)
O (0.630, 0.572, 0.745)
O (0.676, 0.060, 0.942)
O (0.711, 0.351, 0.682)
O (0.748, 0.681, 0.974)
O (0.814, 0.896, 0.205)
O (0.833, 0.203, 0.520)
O (0.887, 0.472, 0.275)
O (0.933, 0.988, 0.451)
O (0.934, 0.265, 0.189)

---

[8]
Material: LiFe8B8O24
Method: DFT, GGA+U
State: optimized geometry

**Corrected total energy (MP2020 scheme)**: -8.105 eV/atom
**Energy relative to the lowest polymorph listed for this composition**: 0.0032 eV/atom
**SG**: P1
**Magnetic moment**: 39.0 Bohr magnetons per cell
**Formation energy from the elements**: -2.206 eV/atom

Unit cell a=5.333 b=9.011 c=10.132 alpha=89.37 beta=89.98 gamma=89.62
Fractional positions:
Li (0.000, 0.000, 0.000)
Fe (0.014, 0.337, 0.528)
Fe (0.016, 0.663, 0.029)
Fe (0.198, 0.838, 0.276)
Fe (0.208, 0.174, 0.779)
Fe (0.509, 0.175, 0.033)
Fe (0.515, 0.838, 0.526)
Fe (0.693, 0.337, 0.280)
Fe (0.695, 0.670, 0.779)
B (0.017, 0.332, 0.030)
B (0.023, 0.676, 0.527)
B (0.187, 0.173, 0.279)
B (0.192, 0.833, 0.785)
B (0.523, 0.174, 0.529)
B (0.529, 0.832, 0.026)
B (0.693, 0.334, 0.776)
B (0.693, 0.675, 0.278)
O (0.047, 0.290, 0.333)
O (0.051, 0.712, 0.830)
O (0.087, 0.035, 0.266)
O (0.111, 0.536, 0.522)
O (0.112, 0.973, 0.808)
O (0.127, 0.468, 0.021)
O (0.131, 0.205, 0.976)
O (0.159, 0.797, 0.475)
O (0.275, 0.817, 0.071)
O (0.283, 0.198, 0.582)
O (0.419, 0.804, 0.721)
O (0.425, 0.201, 0.235)
O (0.555, 0.797, 0.325)
O (0.556, 0.214, 0.824)
O (0.600, 0.538, 0.285)
O (0.602, 0.474, 0.780)
O (0.617, 0.035, 0.523)
O (0.648, 0.963, 0.028)
O (0.652, 0.704, 0.980)
O (0.656, 0.297, 0.483)
O (0.789, 0.708, 0.585)
O (0.790, 0.312, 0.091)
O (0.931, 0.703, 0.222)
O (0.933, 0.306, 0.723)